Computed, not measured: crystalline DyGe2Pd at its relaxed geometry at the PBE-GGA level of DFT. Values from VASP.

```
&SYSTEM
  ibrav = 0, nat = 16, ntyp = 3
/
ATOMIC_SPECIES
Dy 162.50 Dy.upf
Ge 72.64 Ge.upf
Pd 106.42 Pd.upf
CELL_PARAMETERS angstrom
-2.155 4.419 8.257
2.155 -4.419 8.257
2.155 4.419 -8.257
ATOMIC_POSITIONS crystal
Dy 0.203 0.203 0.000
Dy 0.237 0.000 0.237
Dy 0.763 0.000 0.763
Dy 0.797 0.797 0.000
Ge 0.075 0.575 0.500
Ge 0.150 0.801 0.349
Ge 0.425 0.425 0.000
Ge 0.452 0.801 0.651
Ge 0.548 0.199 0.349
Ge 0.575 0.575 0.000
Ge 0.850 0.199 0.651
Ge 0.925 0.425 0.500
Pd 0.103 0.353 0.750
Pd 0.396 0.647 0.750
Pd 0.604 0.353 0.250
Pd 0.897 0.647 0.250
```

## Properties
Space group = Immm (71)
Mass density = 8.747 Mg/m³
Electronic total energy = -5.52 eV/atom
Formation energy = -760.1 meV per atom
Volume = 19.658 A^3/atom
Crystal system = orthorhombic